Record 1
# V4FeCoO12

A relaxed V4FeCoO12 crystal (PBE+U, the Materials Project).

```
V4FeCoO12
1.0
-4.1394 -4.0661 1.1599
-3.2095 4.9171 -3.5572
0.3944 -4.5040 -5.1182
V Fe Co O
4 1 1 12
Cartesian
-1.9840 -2.7200 -5.1390 V
-3.4048 1.1670 -4.5117 V
-3.5722 -4.8201 -2.9939 V
-4.9494 -0.9354 -2.3800 V
-3.6003 -0.6385 -7.6381 Fe
-3.3537 -3.0085 0.1134 Co
-2.4962 -6.0513 -3.5140 O
-6.0939 0.3048 -2.0735 O
-3.3578 -4.4331 -1.3718 O
-4.1807 -1.4650 -0.9834 O
-0.7870 -3.9167 -5.4617 O
-4.5221 2.3647 -3.9685 O
-3.2064 -3.3703 -3.9917 O
-5.8693 -2.3126 -3.0920 O
-1.1199 -1.3218 -4.4189 O
-3.7198 -0.3039 -3.5376 O
-2.7577 -2.2157 -6.5389 O
-3.6158 0.7990 -6.1384 O
```



Record 2
# V2CdO10

A relaxed V2CdO10 crystal (PBE+U, the Materials Project).

```
V2CdO10
1.0
5.2133 -2.6421 -3.8329
1.5679 -7.9112 2.6616
-3.3237 -5.0551 -5.9605
V Cd O
4 2 20
Cartesian
2.3561 -6.1503 -2.9637 V
-0.5757 -4.6393 -1.6205 V
4.5089 -4.2829 -4.3609 V
2.2067 -3.1396 -1.9078 V
4.2293 -9.1702 -2.3747 Cd
-0.8046 -6.4320 -4.7365 Cd
3.1382 -7.2472 -1.9645 O
-1.2252 -4.9004 -3.1447 O
4.2634 -8.6272 -4.4814 O
1.0266 -6.9382 -3.6758 O
3.3330 -4.3700 -2.8646 O
0.3508 -2.8296 -1.6102 O
3.4741 -6.0495 -4.5209 O
1.3002 -4.9812 -1.8416 O
4.0754 -9.7336 -0.2772 O
-2.6996 -5.9787 -5.7080 O
5.4027 -11.0442 -2.7203 O
-0.3768 -7.8706 -6.3965 O
-1.5610 -10.6406 -4.3174 O
2.3759 -12.7383 -3.8891 O
3.2301 -13.0443 -4.7229 O
-0.5105 -11.0613 -4.8050 O
1.5245 -9.9540 -2.6225 O
2.9108 -10.5625 -6.6899 O
2.0323 -10.1319 -5.9405 O
0.5601 -9.4732 -2.0244 O
```



Record 3
# LiCo15O16

A relaxed LiCo15O16 crystal (PBE+U, the Materials Project).

```
LiCo15O16
1.0
6.0448 0.0000 0.0000
-1.5156 -6.6240 0.0000
-1.4916 0.3313 -7.8059
Li Co O
1 15 16
Cartesian
0.0000 0.0000 0.0000 Li
0.0045 -1.3825 -5.8735 Co
3.0224 0.0000 0.0000 Co
3.0477 -1.3888 -5.8658 Co
0.0156 -0.6872 -2.8613 Co
3.0254 -0.6983 -2.9106 Co
1.5335 -3.8610 -6.8489 Co
-1.5049 -3.8666 -6.8483 Co
-1.5036 -3.1463 -3.9029 Co
1.5188 -3.1463 -3.9029 Co
1.5040 -2.4317 -0.9569 Co
4.5425 -2.4261 -0.9576 Co
0.0122 -5.5944 -4.8953 Co
3.0220 -5.6055 -4.9446 Co
-0.0101 -4.9039 -1.9401 Co
3.0330 -4.9102 -1.9324 Co
1.5154 -1.0566 -4.3750 O
1.5230 -1.7466 -7.2950 O
-1.4868 -1.8222 -7.2985 O
4.5110 -0.3719 -1.4805 O
4.5437 -1.0406 -4.3967 O
1.5677 -0.3523 -1.4508 O
3.0194 -2.7996 -2.4301 O
0.0182 -3.4931 -5.3758 O
3.0285 -3.5105 -5.3518 O
0.0091 -2.7821 -2.4541 O
-1.4734 -5.9208 -6.3254 O
1.4699 -5.9403 -6.3551 O
1.5221 -5.2361 -3.4309 O
-1.5061 -5.2521 -3.4092 O
4.5244 -4.4705 -0.5074 O
1.5145 -4.5461 -0.5109 O
```



Record 4
# Li2Fe3F8

A relaxed Li2Fe3F8 crystal (PBE+U, the Materials Project).

```
Li2Fe3F8
1.0
-5.3881 3.1321 -0.1165
-2.8405 1.6422 5.3000
-0.2453 5.9751 1.7589
Li Fe F
2 3 8
Cartesian
-1.1269 1.4295 0.9232 Li
-7.3470 9.3199 6.0192 Li
-2.8167 4.5536 0.8212 Fe
-4.1143 2.3872 2.5918 Fe
-1.5429 3.8087 3.5294 Fe
-3.3749 2.5349 0.6282 F
-0.9496 3.8757 1.5127 F
-2.1735 1.8323 3.1826 F
-5.0509 6.4072 4.1380 F
-3.4231 4.3423 2.8044 F
-6.3005 8.9171 3.7597 F
-7.5244 6.8738 5.4297 F
-5.0990 8.2145 6.3141 F
```



Record 5
# Co2S3O12

A relaxed Co2S3O12 crystal (PBE+U, the Materials Project).

```
Co2S3O12
1.0
-3.7098 -7.5103 -1.8413
1.6885 -6.8895 4.8208
-6.0483 -3.1596 5.1953
Co S O
4 6 24
Cartesian
-2.9063 -6.3241 2.9442 Co
-1.1285 -2.4556 1.1432 Co
-5.1633 -11.2353 5.2306 Co
-6.9411 -15.1038 7.0316 Co
-5.4911 -7.3646 1.2014 S
-4.1575 -11.7196 2.1395 S
-7.3858 -8.8145 5.1930 S
-0.6838 -8.7449 2.9818 S
-3.9120 -5.8398 6.0353 S
-2.5785 -10.1948 6.9734 S
-4.9530 -8.1165 0.0403 O
-8.2292 -9.0230 3.9896 O
-6.6553 -12.2485 4.3659 O
-3.8493 -6.8230 7.1338 O
-4.4794 -7.3598 2.2874 O
-4.4230 -10.9765 3.3966 O
-2.8106 -12.3384 2.2170 O
-1.3751 -9.5338 6.4329 O
-2.0580 -6.2604 1.1341 O
-3.9951 -4.6776 2.6218 O
-7.1111 -7.3793 5.3984 O
-6.0739 -9.4775 4.9869 O
-1.9957 -8.0819 3.1880 O
-4.0745 -12.8818 5.5531 O
-0.9584 -10.1800 2.7764 O
-6.6944 -8.0256 1.7420 O
-6.0116 -11.2990 7.0408 O
-5.2589 -5.2210 5.9579 O
-3.6465 -6.5829 4.7782 O
-3.5902 -10.1996 5.8874 O
-1.4143 -5.3109 3.8090 O
-4.2203 -10.7364 1.0411 O
0.1596 -8.5364 4.1852 O
-3.1166 -9.4429 8.1345 O
```



Record 6
# Li4Ti3Cr3Co2O16

A relaxed Li4Ti3Cr3Co2O16 crystal (PBE+U, the Materials Project).

```
Li4Ti3Cr3Co2O16
1.0
1.0550 5.5073 1.8425
4.0202 -4.2310 0.9423
4.0257 2.0602 -8.4477
Li Ti Cr Co O
4 3 3 2 16
Cartesian
6.6145 0.8664 -6.3032 Li
9.0511 3.2952 -5.6373 Li
6.0223 -3.1964 -3.2579 Li
3.6311 3.0654 -1.8014 Li
4.3933 -2.1521 -0.6950 Ti
2.4094 -0.0657 -1.1864 Ti
3.9410 2.6922 -5.2790 Ti
4.8880 0.5523 0.1831 Cr
6.3999 3.2553 -3.8783 Cr
4.4263 5.3592 -4.2764 Cr
5.0295 -0.0375 -2.8844 Co
6.0482 4.3472 -6.7816 Co
5.9625 -1.3616 -3.9471 O
3.4709 -1.3170 -2.2740 O
3.4042 -0.7994 0.3457 O
1.2653 0.6296 -2.6232 O
3.2811 1.6885 -6.8160 O
3.9191 0.7397 -4.5124 O
5.7287 -0.7768 -1.0709 O
3.9556 1.1066 -1.5429 O
1.4219 1.3229 -0.1234 O
6.5673 1.3814 -3.0701 O
5.8414 2.5871 -5.7199 O
4.0590 4.4460 -6.0585 O
4.4366 3.4883 -3.5713 O
4.0026 2.0088 1.3342 O
6.2531 5.0194 -4.8269 O
1.9791 4.1034 0.8616 O
```



Record 7
# K3NaCr2O8

A relaxed K3NaCr2O8 crystal (PBE+U, the Materials Project).

```
K3NaCr2O8
1.0
2.9789 -5.1596 0.0000
2.9789 5.1596 0.0000
0.0000 0.0000 7.6349
K Na Cr O
3 1 2 8
Cartesian
0.0000 0.0000 3.8174 K
2.9789 -1.7199 1.2808 K
2.9789 1.7199 6.3541 K
0.0000 0.0000 0.0000 Na
2.9789 -1.7199 5.5465 Cr
2.9789 1.7199 2.0884 Cr
1.6200 -0.9353 6.1317 O
2.9789 -3.2890 6.1317 O
4.3378 -0.9353 6.1317 O
2.9789 3.2890 1.5032 O
4.3378 0.9353 1.5032 O
1.6200 0.9353 1.5032 O
2.9789 1.7199 3.7342 O
2.9789 -1.7199 3.9006 O
```



Record 8
# Na5W7O21

A relaxed Na5W7O21 crystal (PBE+U, the Materials Project).

```
Na5W7O21
1.0
-8.6797 -7.9354 1.0925
-4.3523 -10.9402 -0.9337
1.2358 -2.4220 6.2310
Na W O
5 7 21
Cartesian
-8.2573 -15.5586 5.4373 Na
-4.6923 -9.8019 4.5142 Na
0.0000 0.0000 0.0000 Na
-3.5389 -5.7390 0.9525 Na
-7.1039 -11.4956 1.8756 Na
-10.0080 -18.4026 5.9158 W
-2.9326 -6.9407 4.0295 W
-8.8636 -14.3569 2.3603 W
0.6179 -1.2110 3.1155 W
-5.3028 -8.5878 1.4099 W
-6.4934 -12.7098 4.9799 W
-1.7882 -2.8950 0.4740 W
-2.1485 -8.6870 4.4536 O
-9.6477 -12.6106 1.9362 O
-10.0900 -15.1849 0.9690 O
-1.7062 -6.1127 5.4208 O
-1.5583 -6.6811 2.6486 O
-7.5340 -14.0783 0.9465 O
-4.2622 -7.2193 5.4432 O
-11.2253 -19.2766 4.6122 O
-7.2173 -10.9315 4.6026 O
-3.7220 -5.1787 3.6617 O
-6.1056 -6.8928 0.9666 O
-6.6737 -8.9115 2.7680 O
-5.1225 -12.3860 3.6218 O
-0.5709 -2.0210 1.7776 O
-7.6413 -13.5045 3.7068 O
-6.5160 -9.4378 0.0794 O
-4.0224 -8.3393 -0.0088 O
-7.7739 -12.9583 6.3986 O
-4.1549 -7.7931 2.6830 O
-4.5789 -10.3660 1.7872 O
-5.6906 -14.4048 5.4232 O
```



Record 9
# MgVC2O6

A relaxed MgVC2O6 crystal (PBE+U, the Materials Project).

```
MgVC2O6
1.0
-2.9937 0.5198 -3.9250
-0.6608 -5.6905 2.2878
-3.6125 2.9989 0.3415
Mg V C O
1 1 2 6
Cartesian
-1.8273 -2.5853 -0.8186 Mg
0.0000 0.0000 0.0000 V
-4.2824 -2.3774 -0.4350 C
-2.9847 0.2057 -0.8608 C
-3.4970 -2.4359 0.5995 O
-1.9073 -0.5133 -0.8721 O
-3.3864 0.8120 0.2188 O
-3.8807 -2.9837 -1.5146 O
-5.3599 -1.6585 -0.4237 O
-3.7701 0.2642 -1.8953 O
```



Record 10
# Fe3PO7

A relaxed Fe3PO7 crystal (PBE+U, the Materials Project).

**Piezoelectric modulus e_max**: 1.1 C/m²

```
Fe3PO7
1.0
1.9093 3.6000 -3.3142
-4.9770 -0.4385 -1.6206
-0.5387 2.7751 4.4269
Fe P O
3 1 7
Cartesian
-3.5882 2.5421 -0.8638 Fe
-1.8582 3.7948 1.4935 Fe
-0.9039 4.1163 -1.5240 Fe
-3.6012 5.9279 -0.5071 P
-0.9694 2.8944 2.9603 O
-4.0218 0.6843 -1.1989 O
0.7142 3.4618 -2.3637 O
-1.9900 2.5631 -1.9797 O
-2.7754 4.5686 -0.3909 O
-0.3149 3.7760 0.3028 O
-2.9140 2.2518 0.9420 O
```



Record 11
# LiMn7O7F

A relaxed LiMn7O7F crystal (PBE+U, the Materials Project).

```
LiMn7O7F
1.0
1.7411 -3.0156 0.0000
1.7411 3.0156 0.0000
0.0000 0.0000 21.5001
Li Mn O F
1 7 7 1
Cartesian
1.7411 -1.0052 20.7311 Li
1.7411 1.0052 7.4622 Mn
1.7411 1.0052 2.0771 Mn
1.7411 1.0052 12.8518 Mn
1.7411 1.0052 18.2736 Mn
1.7411 -1.0052 4.7685 Mn
1.7411 -1.0052 15.5657 Mn
1.7411 -1.0052 10.1544 Mn
1.7411 1.0052 5.3175 O
1.7411 1.0052 16.1294 O
1.7411 1.0052 10.7136 O
1.7411 -1.0052 8.0168 O
1.7411 -1.0052 2.6082 O
1.7411 -1.0052 18.8275 O
1.7411 -1.0052 13.4203 O
1.7411 1.0052 21.4413 F
```



Record 12
# BaMgMoO3

A relaxed BaMgMoO3 crystal (PBE+U, the Materials Project).

```
BaMgMoO3
1.0
-2.1260 -3.0172 -2.7543
2.9137 -3.5519 0.3215
-2.4250 -0.6156 3.8664
Ba Mg Mo O
1 1 1 3
Cartesian
-0.5062 -4.1712 0.1043 Ba
-1.6048 -2.1355 2.2583 Mg
0.6670 -6.3453 -2.1960 Mo
-0.7537 -4.6515 -2.4767 O
-0.5053 -6.7690 -0.3488 O
1.8071 -4.9232 -0.9139 O
```



Record 13
# YW2O9

A relaxed YW2O9 crystal (PBE+U, the Materials Project).

```
YW2O9
1.0
-3.8158 2.5363 -7.4050
-5.2773 -0.5383 2.5350
-1.0687 6.2939 2.7064
Y W O
2 4 18
Cartesian
-4.6168 3.4962 -4.1035 Y
-5.5450 4.7957 1.9400 Y
-4.0733 6.4605 -1.4647 W
-4.6699 0.8884 2.0542 W
-6.0885 1.8314 -0.6988 W
-5.4920 7.4034 -4.2177 W
-1.3524 1.7732 -1.2558 O
-8.8095 6.5187 -0.9077 O
-5.7540 7.1884 -2.2529 O
-4.4079 1.1035 0.0894 O
-4.0027 4.8357 -2.2993 O
-4.9206 2.6330 2.5393 O
-6.1591 3.4562 0.1358 O
-5.2412 5.6589 -4.7028 O
-2.7016 2.2090 -3.7330 O
-6.1200 5.1921 4.1702 O
-7.4602 6.0828 1.5695 O
-4.0418 3.0998 -6.3337 O
-4.7750 5.9604 0.1276 O
-6.7391 3.2302 -4.9153 O
-5.3869 2.3314 -2.2911 O
-3.4227 5.0616 2.7518 O
-7.9233 4.2683 -2.1352 O
-2.2386 4.0236 -0.0283 O
```



Record 14
# BaCaCo4O7

A relaxed BaCaCo4O7 crystal (PBE+U, the Materials Project).

```
BaCaCo4O7
1.0
-3.8026 -4.4672 2.5589
4.3688 -7.1507 -5.9911
7.5887 -1.9539 7.8659
Ba Ca Co O
4 4 16 28
Cartesian
3.6823 -9.7063 -3.3881 Ba
4.6994 -4.2321 -0.3242 Ba
5.6136 -12.8718 1.7986 Ba
6.6307 -7.3977 4.8624 Ba
4.9029 -4.7757 7.0296 Ca
2.1756 -7.0340 -1.1196 Ca
-0.7561 -5.9893 4.3515 Ca
7.8346 -5.8204 1.5585 Ca
5.8676 -7.7379 -0.9836 Co
-0.8146 -5.7276 0.6001 Co
1.0696 -10.6014 -0.9404 Co
4.8298 -4.4541 3.4123 Co
3.8175 -9.9235 0.3463 Co
1.0397 -3.4722 -0.5234 Co
6.7507 -9.3618 1.7229 Co
4.3424 -7.1632 1.9021 Co
1.9420 -5.0900 1.9734 Co
4.0176 -6.7898 10.0754 Co
2.8864 -6.8142 4.5959 Co
2.4257 -3.9804 -3.2944 Co
7.6231 -3.8504 4.6367 Co
2.1009 -3.6070 4.8788 Co
7.6076 -10.9053 4.2821 Co
9.5685 -8.8245 3.0122 Co
5.2053 -8.4852 0.7330 O
8.3280 -5.5126 3.8623 O
3.1599 -6.1496 0.8538 O
1.9790 -11.5816 -2.3797 O
5.7315 -3.9279 5.0391 O
4.8884 -8.1138 8.9146 O
4.3960 -7.3778 -2.0116 O
0.1709 -6.0001 2.1188 O
4.6590 -11.1046 -1.0052 O
1.6412 -3.2986 1.3053 O
6.2181 -9.7892 3.5338 O
3.2204 -5.3825 -4.4176 O
3.4701 -8.0979 3.2638 O
1.1395 -7.3217 4.7986 O
8.3489 -8.1686 1.8147 O
7.1849 -6.5272 -0.5971 O
8.1926 -12.3878 3.1032 O
6.2193 -3.0697 8.1230 O
6.7777 -6.1325 7.4908 O
2.5380 -1.9600 4.1140 O
7.1472 -10.9446 0.6287 O
2.1196 -4.7147 -1.6277 O
2.9036 -5.0111 3.7639 O
4.1237 -6.7909 5.9451 O
5.6532 -5.9980 2.4807 O
-0.2112 -6.9882 -0.7453 O
2.1278 -9.1599 -0.1999 O
1.5467 -7.7164 -3.2892 O
```



Number 1: theoretical density 3.29 Mg/m³, formation energy -2.160 eV/atom. Number 2: theoretical density 2.79 Mg/m³, formation energy -1.260 eV/atom. Number 3: theoretical density 6.09 Mg/m³, formation energy -0.798 eV/atom. Number 4: theoretical density 3.28 Mg/m³, formation energy -2.686 eV/atom. Number 5: theoretical density 3.01 Mg/m³, formation energy -1.500 eV/atom. Number 6: theoretical density 4.01 Mg/m³, formation energy -2.451 eV/atom. Number 7: theoretical density 2.63 Mg/m³, formation energy -2.052 eV/atom. Number 8: theoretical density 6.69 Mg/m³, formation energy -2.173 eV/atom. Number 9: theoretical density 2.93 Mg/m³, formation energy -2.141 eV/atom. Number 10: theoretical density 3.85 Mg/m³, formation energy -1.997 eV/atom. Number 11: theoretical density 3.84 Mg/m³, formation energy -2.044 eV/atom. Number 12: theoretical density 5.41 Mg/m³, formation energy -1.842 eV/atom. Number 13: theoretical density 5.76 Mg/m³, formation energy -2.093 eV/atom. Number 14: theoretical density 4.76 Mg/m³, formation energy -1.353 eV/atom.